Compound: DyGe2Pt2
Source: Materials Project
Functional: PBE
Structure: optimized geometry

```
5
Lattice="4.3857 0.0000 0.0000 0.0000 4.3857 0.0000 -2.1929 -2.1929 4.9303" Properties=species:S:1:pos:R:3 pbc="T T T"
Dy 0.0000 0.0000 0.0000
Pt 2.1929 0.0000 2.4652
Ge 2.1929 2.1929 1.2268
Ge 0.0000 0.0000 3.7035
Pt 0.0000 2.1929 2.4652
```

Summary:
ΔE_f   -0.79 eV per atom